{"formula": "Sr2MgTiO4", "functional": "PBE-GGA", "state": "relaxed", "magmom_total_mub_per_cell": 1.7, "e_tot_ev_per_atom": -6.248, "vol_a3_per_atom": 15.68, "lattice_angstrom": [[-1.9172, 1.9172, 8.5302], [1.9172, -1.9172, 8.5302], [1.9172, 1.9172, -8.5302]], "species": ["Sr", "Sr", "Mg", "Ti", "O", "O", "O", "O"], "fractional_positions": [[0.1109, 0.1109, 0.0000], [0.8891, 0.8891, 0.0000], [0.7500, 0.2500, 0.5000], [0.5000, 0.5000, 0.0000], [0.0009, 0.5009, 0.5000], [0.3078, 0.3078, 0.0000], [0.4991, 0.9991, 0.5000], [0.6922, 0.6922, 0.0000]]}